The following is a DFT calculation (r²SCAN) of SrCu2Sb2 after structural relaxation.

Cell and atoms, written as POSCAR:
```
SrCu2Sb2
1.0
4.5663 0.0000 0.0000
0.0000 4.5663 0.0000
0.0000 0.0000 10.7594
Sr Cu Sb
2 4 4
Cartesian
1.1416 1.1416 2.5458 Sr
3.4247 3.4247 8.2136 Sr
1.1416 1.1416 6.8098 Cu
1.1416 3.4247 0.0000 Cu
3.4247 1.1416 0.0000 Cu
3.4247 3.4247 3.9496 Cu
1.1416 1.1416 9.3764 Sb
1.1416 3.4247 5.3797 Sb
3.4247 1.1416 5.3797 Sb
3.4247 3.4247 1.3830 Sb
```

Properties
size of the total moment	0.0	μB/f.u.
energy of formation from the pure elements	-0.493	eV/atom
symmetry	P4/nmm (129)
DFT total energy	-18.14	eV/atom

The following is a DFT calculation (r²SCAN) of DyGe3 after structural relaxation.

Cell and atoms, written as POSCAR:
```
DyGe3
1.0
2.0042 -10.4964 0.0000
2.0042 10.4964 0.0000
0.0000 0.0000 3.8923
Dy Ge
2 6
Cartesian
2.0042 8.7375 2.9193 Dy
2.0042 -8.7375 0.9731 Dy
2.0042 6.4633 0.9731 Ge
2.0042 3.9922 0.9731 Ge
2.0042 0.7990 2.9193 Ge
2.0042 -0.7990 0.9731 Ge
2.0042 -3.9922 2.9193 Ge
2.0042 -6.4633 2.9193 Ge
```

Properties
size of the total moment	0.0	μB/f.u.
energy of formation from the pure elements	-0.476	eV/atom
symmetry	Cmcm (63)
DFT total energy	-18.87	eV/atom

The following is a DFT calculation (r²SCAN) of Ho2Re3Si5 after structural relaxation.

Cell and atoms, written as POSCAR:
```
Ho2Re3Si5
1.0
10.9375 0.0000 0.0000
0.0000 10.9375 0.0000
0.0000 0.0000 5.4882
Ho Re Si
8 12 20
Cartesian
0.8571 2.5965 0.0000 Ho
2.5965 10.0803 0.0000 Ho
2.8723 4.6116 2.7441 Ho
4.6116 8.0652 2.7441 Ho
6.3259 2.8723 2.7441 Ho
8.0652 6.3259 2.7441 Ho
8.3410 0.8571 0.0000 Ho
10.0803 8.3410 0.0000 Ho
0.0000 5.4687 1.3721 Re
0.0000 5.4687 4.1162 Re
1.3609 9.3219 2.7441 Re
1.6156 1.3609 2.7441 Re
3.8532 6.8297 0.0000 Re
4.1078 3.8532 0.0000 Re
5.4687 0.0000 1.3721 Re
5.4687 0.0000 4.1162 Re
6.8297 7.0843 0.0000 Re
7.0843 4.1078 0.0000 Re
9.3219 9.5766 2.7441 Re
9.5766 1.6156 2.7441 Re
0.0000 0.0000 1.3476 Si
0.0000 0.0000 4.1407 Si
0.2976 3.4339 2.7441 Si
1.8807 7.3494 1.3721 Si
1.8807 7.3494 4.1162 Si
2.0349 5.1711 0.0000 Si
3.4339 10.6399 2.7441 Si
3.5881 1.8807 1.3721 Si
3.5881 1.8807 4.1162 Si
5.1711 8.9026 0.0000 Si
5.4687 5.4687 1.3965 Si
5.4687 5.4687 4.0917 Si
5.7664 2.0349 0.0000 Si
7.3494 9.0568 1.3721 Si
7.3494 9.0568 4.1162 Si
7.5036 0.2976 2.7441 Si
8.9026 5.7664 0.0000 Si
9.0568 3.5881 1.3721 Si
9.0568 3.5881 4.1162 Si
10.6399 7.5036 2.7441 Si
```

Properties
size of the total moment	0.0	μB/f.u.
energy of formation from the pure elements	-0.640	eV/atom
symmetry	P4/mnc (128)
DFT total energy	-27.33	eV/atom

The following is a DFT calculation (r²SCAN) of Sr2Mg after structural relaxation.

Cell and atoms, written as POSCAR:
```
Sr2Mg
1.0
-2.1182 2.1182 7.2475
2.1182 -2.1182 7.2475
2.1182 2.1182 -7.2475
Sr Mg
2 1
Cartesian
0.0000 0.0000 2.0578 Sr
0.0000 0.0000 12.4372 Sr
0.0000 0.0000 7.2475 Mg
```

Properties
size of the total moment	0.0	μB/f.u.
energy of formation from the pure elements	0.003	eV/atom
symmetry	I4/mmm (139)
DFT total energy	-11.48	eV/atom

The following is a DFT calculation (r²SCAN) of Er3Ir after structural relaxation.

Cell and atoms, written as POSCAR:
```
Er3Ir
1.0
7.1446 0.0000 0.0000
0.0000 9.0190 0.0000
0.0000 0.0000 6.3651
Er Ir
12 4
Cartesian
0.2552 2.2548 0.7903 Er
1.2569 0.5606 4.3121 Er
1.2569 3.9489 4.3121 Er
2.3154 5.0701 1.1295 Er
2.3154 8.4584 1.1295 Er
3.3171 6.7643 3.9729 Er
3.8275 2.2548 2.3923 Er
4.8292 0.5606 5.2356 Er
4.8292 3.9489 5.2356 Er
5.8877 5.0701 2.0530 Er
5.8877 8.4584 2.0530 Er
6.8894 6.7643 5.5748 Er
0.8035 6.7643 2.9566 Ir
2.7689 2.2548 6.1392 Ir
4.3758 6.7643 0.2260 Ir
6.3412 2.2548 3.4085 Ir
```

Properties
size of the total moment	0.0	μB/f.u.
energy of formation from the pure elements	-0.687	eV/atom
symmetry	Pnma (62)
DFT total energy	-39.22	eV/atom

The following is a DFT calculation (r²SCAN) of NdAlSi after structural relaxation.

Cell and atoms, written as POSCAR:
```
NdAlSi
1.0
-2.1153 2.1153 7.2732
2.1153 -2.1153 7.2732
2.1153 2.1153 -7.2732
Nd Al Si
2 2 2
Cartesian
0.0000 0.0000 0.0000 Nd
0.0000 2.1153 3.6366 Nd
2.1153 0.0000 4.8576 Al
0.0000 0.0000 8.4942 Al
2.1153 0.0000 2.4423 Si
0.0000 0.0000 6.0789 Si
```

Properties
size of the total moment	0.0	μB/f.u.
energy of formation from the pure elements	-0.737	eV/atom
symmetry	I4_1md (109)
DFT total energy	-15.71	eV/atom

The following is a DFT calculation (r²SCAN) of Zr2S after structural relaxation.

Cell and atoms, written as POSCAR:
```
Zr2S
1.0
12.3748 0.0000 0.0000
0.0000 15.3638 0.0000
0.0000 0.0000 3.5364
Zr S
24 12
Cartesian
0.4195 1.6861 0.0000 Zr
0.9185 11.5395 1.7682 Zr
1.0616 8.9352 0.0000 Zr
1.5620 6.4396 1.7682 Zr
1.9290 14.9812 1.7682 Zr
2.5087 3.1378 1.7682 Zr
3.6787 10.8197 0.0000 Zr
4.2584 7.2993 0.0000 Zr
4.6254 14.1215 0.0000 Zr
5.1258 1.2533 1.7682 Zr
5.2689 3.8576 0.0000 Zr
5.7679 9.3680 1.7682 Zr
6.6069 5.9958 1.7682 Zr
7.1059 11.5062 0.0000 Zr
7.2490 14.1105 1.7682 Zr
7.7494 1.2423 0.0000 Zr
8.1164 8.0646 0.0000 Zr
8.6961 4.5441 0.0000 Zr
9.8661 12.2260 1.7682 Zr
10.4458 0.3827 1.7682 Zr
10.8128 8.9242 1.7682 Zr
11.3132 6.4286 0.0000 Zr
11.4563 3.8243 1.7682 Zr
11.9553 13.6777 0.0000 Zr
0.9669 4.4676 0.0000 S
2.2289 13.0323 0.0000 S
3.0523 8.8936 1.7682 S
3.1351 1.2117 0.0000 S
3.9585 5.3504 1.7682 S
5.2205 12.1496 1.7682 S
7.1543 3.2143 1.7682 S
8.4163 10.0134 1.7682 S
9.2397 14.1521 0.0000 S
9.3225 6.4702 1.7682 S
10.1459 2.3315 0.0000 S
11.4079 10.8962 0.0000 S
```

Properties
size of the total moment	0.0	μB/f.u.
energy of formation from the pure elements	-1.246	eV/atom
symmetry	Pnnm (58)
DFT total energy	-19.09	eV/atom

The following is a DFT calculation (r²SCAN) of WBr5 after structural relaxation.

Cell and atoms, written as POSCAR:
```
WBr5
1.0
6.6372 0.0000 0.0000
-3.1636 6.4283 0.0000
-0.1185 -3.5870 9.0159
W Br
2 10
Cartesian
-0.0216 0.5864 1.9307 W
3.3767 2.2550 7.0852 W
-2.2129 3.1737 5.1006 Br
-1.2836 0.9927 7.7140 Br
0.9147 -2.2135 8.6169 Br
1.9391 -0.8362 2.1548 Br
1.0129 2.4633 3.0609 Br
2.3422 0.3780 5.9549 Br
1.4160 3.6776 6.8611 Br
2.4404 5.0549 0.3989 Br
4.6387 1.8487 1.3019 Br
5.5680 -0.3324 3.9152 Br
```

Properties
size of the total moment	1.0	μB/f.u.
energy of formation from the pure elements	-0.575	eV/atom
symmetry	P-1 (2)
DFT total energy	-20.19	eV/atom

The following is a DFT calculation (r²SCAN) of TaTiNi6 after structural relaxation.

Cell and atoms, written as POSCAR:
```
TaTiNi6
1.0
5.0788 0.0000 0.0000
-2.5394 4.3984 0.0000
0.0000 0.0000 4.1965
Ta Ti Ni
1 1 6
Cartesian
0.0000 0.0000 0.0000 Ta
2.5394 1.4661 2.0983 Ti
-1.2422 2.2151 0.0000 Ni
0.0000 1.5128 2.0983 Ni
-1.2293 3.6420 2.0983 Ni
1.2422 2.2151 0.0000 Ni
0.0000 4.3666 0.0000 Ni
1.2293 3.6420 2.0983 Ni
```

Properties
size of the total moment	0.0	μB/f.u.
energy of formation from the pure elements	-0.381	eV/atom
symmetry	P-6m2 (187)
DFT total energy	-17.06	eV/atom

The following is a DFT calculation (r²SCAN) of Pr2AlZn after structural relaxation.

Cell and atoms, written as POSCAR:
```
Pr2AlZn
1.0
3.6977 0.0000 0.0000
0.0000 3.6977 0.0000
0.0000 0.0000 7.6014
Pr Al Zn
2 1 1
Cartesian
0.0000 0.0000 1.8535 Pr
0.0000 0.0000 5.7479 Pr
1.8488 1.8488 3.8007 Al
1.8488 1.8488 0.0000 Zn
```

Properties
size of the total moment	0.0	μB/f.u.
energy of formation from the pure elements	-0.340	eV/atom
symmetry	P4/mmm (123)
DFT total energy	-18.95	eV/atom

The following is a DFT calculation (r²SCAN) of Rb2PdSe2 after structural relaxation.

Cell and atoms, written as POSCAR:
```
Rb2PdSe2
1.0
-1.9029 3.8314 5.0824
1.9029 -3.8314 5.0824
1.9029 3.8314 -5.0824
Rb Pd Se
2 1 2
Cartesian
0.0000 0.0000 1.9724 Rb
0.0000 0.0000 8.1925 Rb
0.0000 3.8314 0.0000 Pd
1.9029 2.2009 0.0000 Se
0.0000 1.6305 5.0824 Se
```

Properties
size of the total moment	0.0	μB/f.u.
energy of formation from the pure elements	-1.041	eV/atom
symmetry	Immm (71)
DFT total energy	-16.93	eV/atom

The following is a DFT calculation (r²SCAN) of V4OF11 after structural relaxation.

Cell and atoms, written as POSCAR:
```
V4OF11
1.0
5.0490 0.0000 0.0000
-0.0024 5.3489 0.0000
-0.0169 -0.5722 7.2357
V O F
4 1 11
Cartesian
0.0000 0.0000 0.0000 V
0.0034 -0.2781 3.6042 V
2.4627 2.1133 7.1056 V
2.4983 2.3887 3.6761 V
2.0582 2.2712 5.4260 O
0.6209 -0.4140 5.4178 F
0.9342 1.6470 0.4201 F
0.9469 3.4009 3.1956 F
1.5685 0.7284 3.1636 F
1.5743 4.3010 0.4412 F
3.0308 2.5463 1.7870 F
3.4492 0.4670 6.8158 F
3.4874 4.0687 4.0403 F
4.1148 1.3994 3.9920 F
4.1152 3.1250 6.8391 F
4.4224 -0.1377 1.8094 F
```

Properties
size of the total moment	7.0	μB/f.u.
energy of formation from the pure elements	-3.175	eV/atom
symmetry	P1 (1)
DFT total energy	-9.22	eV/atom

The following is a DFT calculation (r²SCAN) of Tb2Cr2C3 after structural relaxation.

Cell and atoms, written as POSCAR:
```
Tb2Cr2C3
1.0
5.1981 -1.7005 0.0000
5.1981 1.7005 0.0000
-1.4839 0.0000 5.3631
Tb Cr C
2 2 3
Cartesian
0.6169 0.0000 1.6974 Tb
8.2954 0.0000 3.6657 Tb
3.4034 0.0000 0.5937 Cr
5.5089 0.0000 4.7694 Cr
1.0568 0.0000 4.1454 C
5.1981 0.0000 0.0000 C
7.8555 0.0000 1.2177 C
```

Properties
size of the total moment	1.6	μB/f.u.
energy of formation from the pure elements	-0.343	eV/atom
symmetry	C2/m (12)
DFT total energy	-17.83	eV/atom

The following is a DFT calculation (r²SCAN) of SOF2 after structural relaxation.

Cell and atoms, written as POSCAR:
```
SOF2
1.0
5.1870 0.0000 0.0000
0.0000 6.8417 0.0000
-1.8872 0.0000 14.0394
S O F
8 8 16
Cartesian
-0.4761 1.5588 4.9173 S
-1.4197 1.8620 11.9371 S
2.0935 1.1098 1.9244 S
1.1499 2.3111 8.9441 S
2.1499 4.5306 5.0953 S
1.2063 5.7320 12.1150 S
4.7195 4.9797 2.1024 S
3.7759 5.2829 9.1221 S
-0.4412 4.7844 3.5132 O
-1.3848 5.4782 10.5330 O
1.1819 3.6569 9.4084 O
2.1255 6.6057 2.3886 O
1.1743 0.2360 11.6508 O
2.1179 3.1849 4.6311 O
4.6846 1.3635 3.5065 O
3.7410 2.0573 10.5262 O
0.6746 4.0201 1.5164 F
-0.2690 6.2425 8.5361 F
0.8933 1.1527 0.8553 F
-0.0503 2.2681 7.8750 F
0.7000 0.6099 5.4497 F
-0.2436 2.8110 12.4694 F
1.0328 4.6125 6.2401 F
0.0892 5.6501 13.2599 F
3.2106 1.1916 0.7796 F
2.2670 2.2293 7.7993 F
3.5434 4.0308 1.5700 F
2.5998 6.2318 8.5898 F
3.3501 4.5736 6.1645 F
2.4065 5.6890 13.1842 F
3.5688 0.5993 5.5033 F
2.6252 2.8216 12.5231 F
```

Properties
size of the total moment	0.0	μB/f.u.
energy of formation from the pure elements	-1.605	eV/atom
symmetry	P2_1/c (14)
DFT total energy	-6.67	eV/atom

The following is a DFT calculation (r²SCAN) of ScNbOs2 after structural relaxation.

Cell and atoms, written as POSCAR:
```
ScNbOs2
1.0
0.0000 3.1926 3.1926
3.1926 0.0000 3.1926
3.1926 3.1926 0.0000
Sc Nb Os
1 1 2
Cartesian
0.0000 0.0000 0.0000 Sc
3.1926 3.1926 3.1926 Nb
1.5963 1.5963 1.5963 Os
4.7889 4.7889 4.7889 Os
```

Properties
size of the total moment	0.0	μB/f.u.
energy of formation from the pure elements	-0.514	eV/atom
symmetry	Fm-3m (225)
DFT total energy	-36.04	eV/atom

The following is a DFT calculation (r²SCAN) of GdPt after structural relaxation.

Cell and atoms, written as POSCAR:
```
GdPt
1.0
7.1828 0.0000 0.0000
0.0000 4.4899 0.0000
0.0000 0.0000 5.6126
Gd Pt
4 4
Cartesian
1.3094 1.1225 0.7863 Gd
2.2820 3.3674 3.5926 Gd
4.9008 1.1225 2.0200 Gd
5.8734 3.3674 4.8263 Gd
0.3195 1.1225 3.6717 Pt
3.2720 3.3674 0.8654 Pt
3.9109 1.1225 4.7472 Pt
6.8634 3.3674 1.9409 Pt
```

Properties
size of the total moment	7.3	μB/f.u.
energy of formation from the pure elements	-1.292	eV/atom
symmetry	Pnma (62)
DFT total energy	-48.73	eV/atom

The following is a DFT calculation (r²SCAN) of Li5CrCl8 after structural relaxation.

Cell and atoms, written as POSCAR:
```
Li5CrCl8
1.0
3.6035 -5.0580 0.0000
3.6035 5.0580 0.0000
0.0000 0.0000 7.2047
Li Cr Cl
5 1 8
Cartesian
0.0000 0.0000 0.0000 Li
1.8017 2.5290 1.6845 Li
1.8017 2.5290 5.5202 Li
1.8017 -2.5290 1.6845 Li
1.8017 -2.5290 5.5202 Li
0.0000 0.0000 3.6023 Cr
1.6617 0.0000 1.9312 Cl
1.6617 0.0000 5.2735 Cl
3.6035 2.6972 3.6023 Cl
3.6035 2.5490 0.0000 Cl
3.6035 -2.5490 0.0000 Cl
3.6035 -2.6972 3.6023 Cl
5.5452 0.0000 1.9312 Cl
5.5452 0.0000 5.2735 Cl
```

Properties
size of the total moment	3.0	μB/f.u.
energy of formation from the pure elements	-1.857	eV/atom
symmetry	Cmmm (65)
DFT total energy	-7.30	eV/atom

The following is a DFT calculation (r²SCAN) of GdMg3 after structural relaxation.

Cell and atoms, written as POSCAR:
```
GdMg3
1.0
0.0000 3.6637 3.6637
3.6637 0.0000 3.6637
3.6637 3.6637 0.0000
Gd Mg
1 3
Cartesian
0.0000 0.0000 0.0000 Gd
1.8318 1.8318 1.8318 Mg
3.6637 3.6637 3.6637 Mg
5.4955 5.4955 5.4955 Mg
```

Properties
size of the total moment	7.5	μB/f.u.
energy of formation from the pure elements	-0.067	eV/atom
symmetry	Fm-3m (225)
DFT total energy	-14.04	eV/atom

The following is a DFT calculation (r²SCAN) of BaTa6O16 after structural relaxation.

Cell and atoms, written as POSCAR:
```
BaTa6O16
1.0
3.8876 0.0000 0.0000
0.0000 5.1465 7.5810
0.0000 -5.1465 7.5810
Ba Ta O
1 6 16
Cartesian
0.0000 0.0000 0.0000 Ba
1.9438 -3.2328 5.0541 Ta
1.9438 0.0000 2.9505 Ta
1.9438 -1.9046 8.8700 Ta
1.9438 0.0000 6.1798 Ta
1.9438 3.2328 5.0541 Ta
1.9438 1.9046 8.8700 Ta
0.0000 -3.3259 5.3252 O
0.0000 0.0000 2.8206 O
0.0000 -1.9629 8.8067 O
0.0000 0.0000 6.1060 O
0.0000 3.3259 5.3252 O
0.0000 1.9629 8.8067 O
1.9438 -1.2618 4.4671 O
1.9438 -3.8384 9.0302 O
1.9438 -2.0440 6.7840 O
1.9438 1.2618 4.4671 O
1.9438 0.0000 8.2265 O
1.9438 -1.5469 10.7810 O
1.9438 2.0440 6.7840 O
1.9438 1.5469 10.7810 O
1.9438 0.0000 13.2968 O
1.9438 3.8384 9.0302 O
```

Properties
size of the total moment	0.0	μB/f.u.
energy of formation from the pure elements	-3.151	eV/atom
symmetry	Amm2 (38)
DFT total energy	-21.13	eV/atom